A relaxed TlCr3S5 crystal. Source: the Materials Project database, functional r2SCAN.

Lattice parameters (Å, degrees): 9.9145 9.9145 12.0933 58.17 58.17 20.35
Fractional coordinates of all 18 atoms:
Tl 0.2624 0.2624 0.8218
Tl 0.7376 0.7376 0.1782
Cr 0.5000 0.5000 0.0000
Cr 0.5000 0.5000 0.5000
Cr 0.1644 0.1644 0.6112
Cr 0.8356 0.8356 0.3888
Cr 0.9821 0.9821 0.7732
Cr 0.0179 0.0179 0.2268
S 0.0745 0.0745 0.8481
S 0.9255 0.9255 0.1519
S 0.4084 0.4084 0.9199
S 0.5916 0.5916 0.0801
S 0.5755 0.5755 0.6076
S 0.4245 0.4245 0.3924
S 0.7440 0.7440 0.6185
S 0.2560 0.2560 0.3815
S 0.9187 0.9187 0.6521
S 0.0813 0.0813 0.3479

Summary:
The formation energy is -8.64 eV/f.u.


A relaxed VCr2S4 crystal. Source: the Materials Project database, functional r2SCAN.

Lattice parameters (Å, degrees): 3.4621 5.9818 6.4667 116.08 74.47 90.00
Fractional coordinates of all 7 atoms:
V 0.2614 0.7084 0.4772
Cr 0.7361 0.2977 0.5278
Cr 0.0069 0.9995 0.9862
S 0.3674 0.9818 0.2653
S 0.6323 0.0282 0.7355
S 0.1134 0.5475 0.7733
S 0.8826 0.4370 0.2347

Summary:
The formation energy is -7.54 eV/f.u. The value obtained for the excess energy over the best structure of this formula in the dataset is 0.0 meV per atom.


A relaxed VCr2S4 crystal. Source: the Materials Project database, functional r2SCAN.

Lattice parameters (Å, degrees): 6.5326 6.5326 6.0935 62.48 62.48 30.55
Fractional coordinates of all 7 atoms:
V 0.0000 0.0000 0.0000
Cr 0.7409 0.7409 0.2730
Cr 0.2591 0.2591 0.7270
S 0.8735 0.8735 0.4494
S 0.1265 0.1265 0.5506
S 0.6325 0.6325 0.0288
S 0.3675 0.3675 0.9712

Summary:
The formation energy is -7.44 eV/f.u. The value obtained for the excess energy over the best structure of this formula in the dataset is 14.1 meV per atom.


A relaxed V2CrS4 crystal. Source: the Materials Project database, functional r2SCAN.

Lattice parameters (Å, degrees): 6.4734 6.4734 5.8462 65.76 65.76 29.44
Fractional coordinates of all 7 atoms:
V 0.2589 0.2589 0.6817
V 0.7411 0.7411 0.3183
Cr 0.0000 0.0000 0.0000
S 0.3605 0.3605 0.9828
S 0.6395 0.6395 0.0172
S 0.1107 0.1107 0.5481
S 0.8893 0.8893 0.4519

Summary:
The formation energy is -7.64 eV/f.u.


A relaxed Cr2Se3 crystal. Source: the Materials Project database, functional r2SCAN.

Lattice parameters (Å, degrees): 6.8612 7.3014 8.5849 90.46 104.36 105.26
Fractional coordinates of all 20 atoms:
Cr 0.4942 0.2405 0.0221
Cr 0.8149 0.5674 0.3346
Cr 0.1796 0.9087 0.6765
Cr 0.5058 0.7595 0.9779
Cr 0.8204 0.0913 0.3235
Cr 0.1851 0.4326 0.6654
Cr 0.8347 0.3287 0.8215
Cr 0.1653 0.6713 0.1785
Se 0.7725 0.0748 0.0222
Se 0.1027 0.4037 0.3626
Se 0.4509 0.7407 0.6841
Se 0.2275 0.9252 0.9778
Se 0.5491 0.2593 0.3159
Se 0.8973 0.5963 0.6374
Se 0.5556 0.7667 0.2899
Se 0.9104 0.1074 0.6315
Se 0.2264 0.4383 0.9763
Se 0.4444 0.2333 0.7101
Se 0.7736 0.5617 0.0237
Se 0.0896 0.8926 0.3685

Summary:
The formation energy is -4.04 eV/f.u.


A relaxed Cr2Se3 crystal. Source: the Materials Project database, functional r2SCAN.

Lattice parameters (Å, degrees): 6.3364 6.3365 11.7732 90.00 90.00 120.00
Fractional coordinates of all 20 atoms:
Cr 0.6667 0.3333 0.7500
Cr 0.3333 0.6667 0.2500
Cr 0.0000 0.0000 0.5000
Cr 0.0000 0.0000 0.0000
Cr 0.6667 0.3334 0.4866
Cr 0.3333 0.6667 0.9866
Cr 0.3334 0.6667 0.5134
Cr 0.6666 0.3333 0.0133
Se 0.3415 0.3257 0.8808
Se 0.6743 0.0158 0.8808
Se 0.9842 0.6584 0.8808
Se 0.6585 0.9842 0.3808
Se 0.0158 0.6743 0.3809
Se 0.3257 0.3416 0.3809
Se 0.6584 0.6743 0.1192
Se 0.3257 0.9842 0.1192
Se 0.0158 0.3415 0.1191
Se 0.3415 0.0158 0.6192
Se 0.9841 0.3257 0.6192
Se 0.6743 0.6585 0.6192

Summary:
The formation energy is -4.13 eV/f.u.